1.
This record from the Materials Project database describes crystalline BaBiO3 at its relaxed geometry. The functional is GGA-PBE.

Summary:
Space group: Fm-3m, No. 225
Total energy: -5.93 eV/atom
Crystal system: cubic
Energy of formation from the pure elements: -2208.5 meV/atom

Cell: 6.262 6.262 6.262 Å, 60.00 60.00 60.00°
Fractional positions:
Ba (0.250, 0.250, 0.250)
Ba (0.750, 0.750, 0.750)
Bi (0.000, 0.000, 0.000)
Bi (0.500, 0.500, 0.500)
O (0.244, 0.244, 0.756)
O (0.244, 0.756, 0.244)
O (0.244, 0.756, 0.756)
O (0.756, 0.244, 0.244)
O (0.756, 0.244, 0.756)
O (0.756, 0.756, 0.244)



2.
This record from the Materials Project database describes crystalline AlPO4 at its relaxed geometry. The functional is GGA-PBE.

Summary:
Space group: P6cc, No. 184
Total energy: -7.48 eV/atom
Crystal system: hexagonal
Energy of formation from the pure elements: -3109.8 meV/atom
Largest piezoelectric modulus: 0.3 C/m²

Cell: 14.097 14.097 8.716 Å, 90.00 90.00 120.00°
Fractional positions:
Al (0.122, 0.456, 0.000)
Al (0.122, 0.666, 0.500)
Al (0.334, 0.456, 0.500)
Al (0.334, 0.878, 0.000)
Al (0.456, 0.122, 0.500)
Al (0.456, 0.334, 0.000)
Al (0.544, 0.666, 0.000)
Al (0.544, 0.878, 0.500)
Al (0.666, 0.122, 0.000)
Al (0.666, 0.544, 0.500)
Al (0.878, 0.334, 0.500)
Al (0.878, 0.544, 0.000)
P (0.123, 0.454, 0.625)
P (0.123, 0.669, 0.125)
P (0.331, 0.454, 0.125)
P (0.331, 0.877, 0.625)
P (0.454, 0.123, 0.125)
P (0.454, 0.331, 0.625)
P (0.546, 0.669, 0.625)
P (0.546, 0.877, 0.125)
P (0.669, 0.123, 0.625)
P (0.669, 0.546, 0.125)
P (0.877, 0.331, 0.125)
P (0.877, 0.546, 0.625)
O (0.009, 0.369, 0.566)
O (0.009, 0.640, 0.066)
O (0.122, 0.456, 0.801)
O (0.122, 0.666, 0.301)
O (0.156, 0.569, 0.563)
O (0.156, 0.588, 0.063)
O (0.205, 0.420, 0.571)
O (0.205, 0.785, 0.071)
O (0.215, 0.420, 0.071)
O (0.215, 0.795, 0.571)
O (0.334, 0.456, 0.301)
O (0.334, 0.878, 0.801)
O (0.360, 0.369, 0.066)
O (0.360, 0.991, 0.566)
O (0.369, 0.009, 0.066)
O (0.369, 0.360, 0.566)
O (0.412, 0.569, 0.063)
O (0.412, 0.844, 0.563)
O (0.420, 0.205, 0.071)
O (0.420, 0.215, 0.571)
O (0.431, 0.588, 0.563)
O (0.431, 0.844, 0.063)
O (0.456, 0.122, 0.301)
O (0.456, 0.334, 0.801)
O (0.544, 0.666, 0.801)
O (0.544, 0.878, 0.301)
O (0.569, 0.156, 0.063)
O (0.569, 0.412, 0.563)
O (0.580, 0.785, 0.571)
O (0.580, 0.795, 0.071)
O (0.588, 0.156, 0.563)
O (0.588, 0.431, 0.063)
O (0.631, 0.640, 0.566)
O (0.631, 0.991, 0.066)
O (0.640, 0.009, 0.566)
O (0.640, 0.631, 0.066)
O (0.666, 0.122, 0.801)
O (0.666, 0.544, 0.301)
O (0.785, 0.205, 0.571)
O (0.785, 0.580, 0.071)
O (0.795, 0.215, 0.071)
O (0.795, 0.580, 0.571)
O (0.844, 0.412, 0.063)
O (0.844, 0.431, 0.563)
O (0.878, 0.334, 0.301)
O (0.878, 0.544, 0.801)
O (0.991, 0.360, 0.066)
O (0.991, 0.631, 0.566)